No. 1
A plane-wave DFT calculation with PBE with a Hubbard U was carried out for a relaxed structure of LiMnP2H2O8.

## Properties
For the maximum piezoelectric response, the calculation gives 0.3 C/m². The formation energy comes out at -2.30 eV/atom.

a b c (Å): 7.0052 10.5621 8.0459
angles (deg): 90.00 90.00 90.00
Positions (direct):
1 P 0.2854 0.5095 0.6479
2 Li 0.0001 0.3337 0.5000
3 O 0.5509 0.0113 0.2155
4 Mn 0.9999 0.9921 0.0000
5 O 0.1914 0.1216 0.0390
6 P 0.2146 0.7405 0.1478
7 O 0.5509 0.5113 0.2155
8 O 0.6998 0.3848 0.4529
9 O 0.8002 0.8653 0.9527
10 O 0.4152 0.2373 0.2260
11 O 0.4492 0.0113 0.7846
12 P 0.2854 0.0095 0.6479
13 O 0.9152 0.0126 0.2740
14 O 0.4152 0.7374 0.2259
15 O 0.9152 0.5127 0.2740
16 Mn 0.5000 0.2579 0.5001
17 O 0.6916 0.1285 0.4609
18 O 0.3003 0.8847 0.5472
19 P 0.7853 0.2406 0.8521
20 Mn 0.9999 0.4921 0.0000
21 O 0.0509 0.2387 0.2846
22 O 0.1996 0.8653 0.0472
23 O 0.3085 0.6285 0.5390
24 Li 0.5000 0.4162 0.0000
25 O 0.8084 0.6216 0.9610
26 Li 0.0000 0.8337 0.5000
27 O 0.5848 0.2374 0.7739
28 O 0.0848 0.5127 0.7260
29 O 0.4491 0.5113 0.7845
30 P 0.7147 0.0095 0.3521
31 O 0.0849 0.0127 0.7261
32 H 0.0082 0.6488 0.7103
33 H 0.4918 0.1012 0.2103
34 O 0.9492 0.2387 0.7155
35 P 0.7147 0.5095 0.3522
36 O 0.8003 0.3653 0.9527
37 O 0.1915 0.6216 0.0390
38 O 0.3003 0.3848 0.5472
39 H 0.9918 0.1488 0.2898
40 Mn 0.5001 0.7579 0.4999
41 P 0.2146 0.2405 0.1479
42 O 0.8084 0.1216 0.9610
43 O 0.0509 0.7386 0.2846
44 H 0.0082 0.1488 0.7103
45 O 0.1997 0.3653 0.0473
46 Li 0.5000 0.9162 0.0001
47 O 0.3085 0.1285 0.5391
48 H 0.5082 0.1011 0.7897
49 P 0.7853 0.7405 0.8521
50 H 0.5082 0.6012 0.7897
51 O 0.6997 0.8847 0.4528
52 H 0.4918 0.6011 0.2102
53 H 0.9919 0.6488 0.2897
54 O 0.9491 0.7387 0.7155
55 O 0.5848 0.7373 0.7739
56 O 0.6916 0.6285 0.4609

=====

No. 2
A plane-wave DFT calculation with PBE with a Hubbard U was carried out for a relaxed structure of Sr2Ca2FeCo3O10.

## Properties
Its symmetry is P1 (1). The formation energy comes out at -2.20 eV/atom.

a b c (Å): 10.7871 11.2375 17.4545
angles (deg): 108.71 107.90 90.14
Positions (direct):
1 Sr 0.0000 0.0000 0.0000
2 Sr 0.0016 0.4963 0.9985
3 Sr 0.1384 0.1309 0.7730
4 Sr 0.1480 0.6417 0.2838
5 Sr 0.2515 0.2638 0.0003
6 Sr 0.2551 0.7612 0.9999
7 Sr 0.3888 0.8930 0.7719
8 Sr 0.3936 0.9014 0.2832
9 Sr 0.5046 0.9929 0.9988
10 Sr 0.6396 0.6371 0.2827
11 Sr 0.6428 0.1351 0.7741
12 Sr 0.7468 0.7615 0.9990
13 Sr 0.7551 0.2657 0.9996
14 Sr 0.8859 0.3999 0.7718
15 Sr 0.8891 0.9018 0.7731
16 Sr 0.8928 0.4076 0.2853
17 Ca 0.0013 0.4954 0.5009
18 Ca 0.0053 0.9892 0.4968
19 Ca 0.1451 0.6330 0.7754
20 Ca 0.1465 0.1314 0.2870
21 Ca 0.2528 0.2670 0.4994
22 Ca 0.2529 0.7689 0.4980
23 Ca 0.3943 0.4087 0.7775
24 Ca 0.4010 0.4145 0.2876
25 Ca 0.5030 0.4915 0.9968
26 Ca 0.5033 0.9888 0.4986
27 Ca 0.5069 0.4941 0.5006
28 Ca 0.6352 0.6317 0.7771
29 Ca 0.6520 0.1325 0.2853
30 Ca 0.7544 0.2684 0.4972
31 Ca 0.7549 0.7612 0.4971
32 Ca 0.9004 0.9147 0.2867
33 Fe 0.0895 0.7938 0.1412
34 Fe 0.0935 0.2918 0.6360
35 Fe 0.1006 0.2934 0.1487
36 Fe 0.3456 0.1122 0.1456
37 Fe 0.5912 0.2908 0.1420
38 Fe 0.5952 0.7936 0.1444
39 Fe 0.8409 0.6155 0.1463
40 Fe 0.8445 0.1079 0.1440
41 Co 0.0881 0.7850 0.6318
42 Co 0.1925 0.4475 0.8820
43 Co 0.1954 0.9491 0.8906
44 Co 0.1964 0.9541 0.3959
45 Co 0.1982 0.4543 0.3942
46 Co 0.3371 0.5976 0.6329
47 Co 0.3397 0.1073 0.6366
48 Co 0.3426 0.6000 0.1381
49 Co 0.4421 0.6965 0.8871
50 Co 0.4443 0.1989 0.8865
51 Co 0.4435 0.2009 0.3922
52 Co 0.4518 0.7050 0.4032
53 Co 0.5832 0.2933 0.6328
54 Co 0.5895 0.7866 0.6362
55 Co 0.6914 0.4484 0.8856
56 Co 0.6938 0.9469 0.8855
57 Co 0.6950 0.4506 0.3936
58 Co 0.6965 0.9516 0.3957
59 Co 0.8363 0.1037 0.6313
60 Co 0.8379 0.6034 0.6366
61 Co 0.9416 0.6995 0.8849
62 Co 0.9460 0.2007 0.8880
63 Co 0.9469 0.2044 0.3968
64 Co 0.9467 0.7025 0.3937
65 O 0.0009 0.3108 0.5309
66 O 0.0039 0.7955 0.5263
67 O 0.0071 0.7932 0.0287
68 O 0.0154 0.2975 0.0378
69 O 0.0157 0.1324 0.6282
70 O 0.0160 0.6368 0.1415
71 O 0.0196 0.6283 0.6372
72 O 0.0282 0.1370 0.1515
73 O 0.0605 0.3095 0.3819
74 O 0.0652 0.8243 0.3841
75 O 0.0658 0.5868 0.8910
76 O 0.0714 0.8249 0.8769
77 O 0.0718 0.0835 0.8939
78 O 0.0728 0.3263 0.8801
79 O 0.0809 0.0851 0.4084
80 O 0.0837 0.5783 0.4066
81 O 0.1081 0.9125 0.2502
82 O 0.1146 0.8973 0.7373
83 O 0.1159 0.4088 0.7468
84 O 0.1170 0.4129 0.2554
85 O 0.2501 0.4834 0.5272
86 O 0.2495 0.9902 0.5352
87 O 0.2594 0.4992 0.0286
88 O 0.2600 0.0009 0.0318
89 O 0.2643 0.7530 0.6273
90 O 0.2665 0.7600 0.1425
91 O 0.2737 0.2703 0.6376
92 O 0.2821 0.2743 0.1507
93 O 0.3076 0.3283 0.3802
94 O 0.3132 0.8100 0.8742
95 O 0.3179 0.0662 0.8932
96 O 0.3193 0.5680 0.8936
97 O 0.3198 0.8281 0.3878
98 O 0.3238 0.3140 0.8770
99 O 0.3298 0.0879 0.4052
100 O 0.3332 0.5846 0.4065
101 O 0.3545 0.1010 0.2525
102 O 0.3557 0.5924 0.7384
103 O 0.3696 0.1037 0.7443
104 O 0.3696 0.5930 0.2436
105 O 0.4954 0.3054 0.5286
106 O 0.4981 0.8048 0.5348
107 O 0.5068 0.2982 0.0308
108 O 0.5115 0.7987 0.0345
109 O 0.5144 0.1318 0.6288
110 O 0.5199 0.6269 0.6369
111 O 0.5225 0.6302 0.1353
112 O 0.5268 0.1336 0.1483
113 O 0.5589 0.3112 0.3807
114 O 0.5640 0.5757 0.8943
115 O 0.5645 0.8095 0.8737
116 O 0.5673 0.0849 0.8934
117 O 0.5677 0.8150 0.3878
118 O 0.5696 0.3279 0.8789
119 O 0.5764 0.5796 0.4074
120 O 0.5847 0.0783 0.4065
121 O 0.6103 0.4034 0.7421
122 O 0.6108 0.4080 0.2505
123 O 0.6152 0.9121 0.2542
124 O 0.6207 0.8981 0.7430
125 O 0.7488 0.5030 0.0354
126 O 0.7526 0.4858 0.5327
127 O 0.7525 0.9821 0.5297
128 O 0.7592 0.2587 0.6272
129 O 0.7615 0.9975 0.0318
130 O 0.7650 0.7578 0.6283
131 O 0.7699 0.2646 0.1426
132 O 0.7784 0.7774 0.1512
133 O 0.8099 0.3199 0.3817
134 O 0.8121 0.5703 0.8926
135 O 0.8156 0.8342 0.3843
136 O 0.8182 0.8122 0.8780
137 O 0.8210 0.3198 0.8804
138 O 0.8243 0.0778 0.8950
139 O 0.8295 0.5828 0.4078
140 O 0.8340 0.0891 0.4060
141 O 0.8562 0.0963 0.2510
142 O 0.8580 0.6085 0.7454
143 O 0.8681 0.1077 0.7401
144 O 0.8726 0.6120 0.2580

=====

No. 3
A plane-wave DFT calculation with PBE with a Hubbard U was carried out for a relaxed structure of K4Ti3CoP6O24.

## Properties
Its symmetry is P2_1 (4). The formation energy comes out at -2.86 eV/atom.

a b c (Å): 10.0107 10.0027 10.0153
angles (deg): 90.00 90.10 90.00
Positions (direct):
1 K 0.0402 0.0000 0.1972
2 K 0.1793 0.7266 0.5698
3 K 0.3115 0.3591 0.0626
4 K 0.4501 0.0898 0.7116
5 K 0.5499 0.5898 0.2884
6 K 0.6885 0.8591 0.9374
7 K 0.8207 0.2266 0.4302
8 K 0.9598 0.5000 0.8028
9 Ti 0.1602 0.3820 0.4124
10 Ti 0.3328 0.7100 0.9135
11 Ti 0.3901 0.9353 0.3565
12 Ti 0.6099 0.4353 0.6435
13 Ti 0.6672 0.2100 0.0865
14 Ti 0.8398 0.8820 0.5876
15 Co 0.1051 0.1504 0.8556
16 Co 0.8949 0.6504 0.1444
17 P 0.0207 0.8385 0.8758
18 P 0.1271 0.0664 0.5431
19 P 0.2061 0.6708 0.2289
20 P 0.2920 0.4231 0.7253
21 P 0.3794 0.0215 0.0420
22 P 0.4761 0.2525 0.3732
23 P 0.5239 0.7525 0.6268
24 P 0.6206 0.5215 0.9580
25 P 0.7080 0.9231 0.2747
26 P 0.7939 0.1708 0.7711
27 P 0.8729 0.5664 0.4569
28 P 0.9793 0.3385 0.1242
29 O 0.0089 0.4928 0.4802
30 O 0.0116 0.9821 0.9241
31 O 0.0486 0.3232 0.2661
32 O 0.0501 0.2409 0.0332
33 O 0.0656 0.7249 0.2416
34 O 0.1058 0.2137 0.4968
35 O 0.1707 0.7938 0.8534
36 O 0.1801 0.0544 0.6841
37 O 0.2078 0.3226 0.7987
38 O 0.2277 0.9964 0.4452
39 O 0.2286 0.5356 0.3038
40 O 0.2490 0.4436 0.5771
41 O 0.2526 0.6500 0.0819
42 O 0.2755 0.5606 0.7974
43 O 0.2796 0.0941 0.9563
44 O 0.3053 0.7711 0.2984
45 O 0.3295 0.2970 0.3531
46 O 0.3354 0.0238 0.1923
47 O 0.3997 0.8726 0.0000
48 O 0.4424 0.3807 0.7277
49 O 0.4476 0.7745 0.7593
50 O 0.4519 0.8407 0.5214
51 O 0.4811 0.1047 0.4199
52 O 0.4836 0.5940 0.9723
53 O 0.5164 0.0940 0.0277
54 O 0.5189 0.6047 0.5801
55 O 0.5481 0.3407 0.4786
56 O 0.5524 0.2745 0.2407
57 O 0.5576 0.8807 0.2723
58 O 0.6003 0.3726 0.0000
59 O 0.6646 0.5238 0.8077
60 O 0.6705 0.7970 0.6469
61 O 0.6947 0.2711 0.7016
62 O 0.7204 0.5941 0.0437
63 O 0.7245 0.0606 0.2026
64 O 0.7474 0.1500 0.9181
65 O 0.7510 0.9436 0.4229
66 O 0.7714 0.0356 0.6962
67 O 0.7723 0.4964 0.5548
68 O 0.7922 0.8226 0.2013
69 O 0.8199 0.5544 0.3159
70 O 0.8293 0.2938 0.1466
71 O 0.8942 0.7137 0.5032
72 O 0.9344 0.2249 0.7584
73 O 0.9499 0.7409 0.9668
74 O 0.9514 0.8232 0.7339
75 O 0.9884 0.4821 0.0759
76 O 0.9911 0.9928 0.5198

=====

No. 4
A plane-wave DFT calculation with PBE with a Hubbard U was carried out for a relaxed structure of NiH4SeO5.

## Properties
Its symmetry is P2_1/c (14). The formation energy comes out at -1.28 eV/atom.

a b c (Å): 6.5022 8.8356 9.1774
angles (deg): 90.00 124.80 90.00
Positions (direct):
1 Ni 0.1674 0.1380 0.0182
2 Ni 0.1674 0.3620 0.5182
3 Ni 0.8326 0.6380 0.4818
4 Ni 0.8326 0.8620 0.9818
5 H 0.0741 0.1347 0.6417
6 H 0.0741 0.3653 0.1417
7 H 0.3026 0.0773 0.6313
8 H 0.3026 0.4227 0.1313
9 H 0.3027 0.5171 0.7937
10 H 0.3027 0.9829 0.2937
11 H 0.4291 0.1467 0.3722
12 H 0.4291 0.3533 0.8722
13 H 0.5709 0.6467 0.1278
14 H 0.5709 0.8533 0.6278
15 H 0.6973 0.0171 0.7063
16 H 0.6973 0.4829 0.2063
17 H 0.6974 0.5773 0.8687
18 H 0.6974 0.9227 0.3687
19 H 0.9259 0.6347 0.8583
20 H 0.9259 0.8653 0.3583
21 Se 0.2391 0.6550 0.3376
22 Se 0.2391 0.8450 0.8376
23 Se 0.7609 0.1550 0.1624
24 Se 0.7609 0.3450 0.6624
25 O 0.0920 0.6692 0.7660
26 O 0.0920 0.8308 0.2660
27 O 0.1380 0.5915 0.4667
28 O 0.1380 0.9085 0.9667
29 O 0.1527 0.1419 0.5749
30 O 0.1527 0.3581 0.0749
31 O 0.4072 0.0631 0.2895
32 O 0.4072 0.4369 0.7895
33 O 0.4566 0.2041 0.9974
34 O 0.4566 0.2959 0.4974
35 O 0.5434 0.7041 0.5026
36 O 0.5434 0.7959 0.0026
37 O 0.5928 0.5631 0.2105
38 O 0.5928 0.9369 0.7105
39 O 0.8473 0.6419 0.9251
40 O 0.8473 0.8581 0.4251
41 O 0.8620 0.0915 0.0333
42 O 0.8620 0.4085 0.5333
43 O 0.9080 0.1692 0.7340
44 O 0.9080 0.3308 0.2340

=====

No. 5
A plane-wave DFT calculation with PBE with a Hubbard U was carried out for a relaxed structure of Mn3ReO6.

## Properties
Its symmetry is P1 (1). The formation energy comes out at -2.00 eV/atom.

a b c (Å): 5.3469 5.4565 7.8621
angles (deg): 90.00 90.01 90.06
Positions (direct):
1 Mn 0.0000 0.0000 0.0000
2 Mn 0.0034 0.5451 0.7602
3 Mn 0.5004 0.0452 0.2534
4 Mn 0.5040 0.5000 0.0137
5 Mn 0.5077 0.5929 0.4985
6 Mn 0.9962 0.0926 0.5150
7 Re 0.0046 0.5446 0.2584
8 Re 0.4993 0.0444 0.7554
9 O 0.1249 0.4721 0.4902
10 O 0.1580 0.2435 0.1808
11 O 0.1855 0.2081 0.8084
12 O 0.3185 0.7083 0.2053
13 O 0.3459 0.7434 0.8328
14 O 0.3791 0.9721 0.5234
15 O 0.6213 0.1209 0.9885
16 O 0.6593 0.3412 0.6814
17 O 0.6983 0.3684 0.3145
18 O 0.8056 0.8684 0.6991
19 O 0.8447 0.8411 0.3323
20 O 0.8827 0.6210 0.0250

=====

No. 6
A plane-wave DFT calculation with PBE with a Hubbard U was carried out for a relaxed structure of CrPb2F7.

## Properties
Its symmetry is P2_1/c (14). The formation energy comes out at -2.84 eV/atom.

a b c (Å): 5.5251 11.3233 9.6591
angles (deg): 90.00 91.16 90.00
Positions (direct):
1 Cr 0.2006 0.1329 0.2929
2 Cr 0.2006 0.3671 0.7929
3 Cr 0.7994 0.6329 0.2071
4 Cr 0.7994 0.8671 0.7071
5 Pb 0.2602 0.0615 0.8642
6 Pb 0.2602 0.4385 0.3642
7 Pb 0.2778 0.6864 0.9450
8 Pb 0.2778 0.8136 0.4450
9 Pb 0.7222 0.1864 0.5550
10 Pb 0.7222 0.3136 0.0550
11 Pb 0.7398 0.5615 0.6358
12 Pb 0.7398 0.9385 0.1358
13 F 0.0323 0.7359 0.7141
14 F 0.0323 0.7641 0.2141
15 F 0.0546 0.5315 0.1441
16 F 0.0546 0.9685 0.6441
17 F 0.0987 0.0940 0.1045
18 F 0.0987 0.4060 0.6045
19 F 0.2896 0.1752 0.4818
20 F 0.2896 0.3248 0.9818
21 F 0.3790 0.6143 0.4950
22 F 0.3790 0.8857 0.9950
23 F 0.4200 0.5025 0.8044
24 F 0.4200 0.9975 0.3044
25 F 0.4600 0.2430 0.2415
26 F 0.4600 0.2570 0.7415
27 F 0.5400 0.7430 0.2585
28 F 0.5400 0.7570 0.7585
29 F 0.5800 0.0025 0.6956
30 F 0.5800 0.4975 0.1956
31 F 0.6210 0.1143 0.0050
32 F 0.6210 0.3857 0.5050
33 F 0.7104 0.6752 0.0182
34 F 0.7104 0.8248 0.5182
35 F 0.9013 0.5940 0.3955
36 F 0.9013 0.9060 0.8955
37 F 0.9454 0.0315 0.3559
38 F 0.9454 0.4685 0.8559
39 F 0.9677 0.2359 0.7859
40 F 0.9677 0.2641 0.2859

=====

No. 7
A plane-wave DFT calculation with PBE with a Hubbard U was carried out for a relaxed structure of MgFe6O4F8.

## Properties
Its symmetry is P1 (1). The formation energy comes out at -2.23 eV/atom.

a b c (Å): 5.7570 6.0280 7.5420
angles (deg): 76.56 74.12 69.95
Positions (direct):
1 Mg 0.0000 0.0000 0.0000
2 Fe 0.2398 0.7457 0.5154
3 Fe 0.4168 0.5386 0.0221
4 Fe 0.4575 0.0495 0.2133
5 Fe 0.5451 0.1582 0.6580
6 Fe 0.8590 0.4998 0.3145
7 Fe 0.9605 0.4826 0.8124
8 O 0.2042 0.3583 0.1973
9 O 0.2346 0.1899 0.8325
10 O 0.5459 0.4585 0.4963
11 O 0.7812 0.8054 0.1718
12 F 0.1518 0.7285 0.8332
13 F 0.2473 0.8399 0.1784
14 F 0.4446 0.9889 0.5039
15 F 0.6299 0.7362 0.8406
16 F 0.7070 0.2200 0.8517
17 F 0.7705 0.3310 0.1326
18 F 0.9120 0.0225 0.5353
19 F 0.9874 0.5547 0.5234